1.
A geometry-optimized ZnSnP14 structure. Source: the Materials Project, functional GGA-PBE.

Cell lengths 12.8602, 9.8738, 10.6349 Å; angles 90.00, 90.00, 90.00 degrees
Element x y z (fractional)
1 Zn 0.1786 0.2500 0.0043
2 Zn 0.3214 0.7500 0.5043
3 Zn 0.6786 0.2500 0.4957
4 Zn 0.8214 0.7500 0.9957
5 Sn 0.1710 0.7500 0.0984
6 Sn 0.3290 0.2500 0.5984
7 Sn 0.6710 0.7500 0.4016
8 Sn 0.8290 0.2500 0.9016
9 P 0.0294 0.5775 0.8503
10 P 0.0294 0.9225 0.8503
11 P 0.0350 0.2500 0.8435
12 P 0.0562 0.7500 0.7199
13 P 0.0678 0.0827 0.7099
14 P 0.0678 0.4173 0.7099
15 P 0.0752 0.5795 0.4189
16 P 0.0752 0.9205 0.4189
17 P 0.0854 0.2500 0.4029
18 P 0.1403 0.0507 0.1333
19 P 0.1403 0.4493 0.1333
20 P 0.1748 0.7500 0.3560
21 P 0.1794 0.0767 0.3337
22 P 0.1794 0.4233 0.3337
23 P 0.3206 0.5767 0.8337
24 P 0.3206 0.9233 0.8337
25 P 0.3252 0.2500 0.8560
26 P 0.3597 0.5507 0.6333
27 P 0.3597 0.9493 0.6333
28 P 0.4146 0.7500 0.9029
29 P 0.4248 0.0795 0.9189
30 P 0.4248 0.4205 0.9189
31 P 0.4322 0.5827 0.2099
32 P 0.4322 0.9173 0.2099
33 P 0.4438 0.2500 0.2199
34 P 0.4650 0.7500 0.3435
35 P 0.4706 0.0775 0.3503
36 P 0.4706 0.4225 0.3503
37 P 0.5294 0.5775 0.6497
38 P 0.5294 0.9225 0.6497
39 P 0.5350 0.2500 0.6565
40 P 0.5562 0.7500 0.7801
41 P 0.5678 0.0827 0.7901
42 P 0.5678 0.4173 0.7901
43 P 0.5752 0.5795 0.0811
44 P 0.5752 0.9205 0.0811
45 P 0.5854 0.2500 0.0971
46 P 0.6403 0.0507 0.3667
47 P 0.6403 0.4493 0.3667
48 P 0.6748 0.7500 0.1440
49 P 0.6794 0.0767 0.1663
50 P 0.6794 0.4233 0.1663
51 P 0.8206 0.5767 0.6663
52 P 0.8206 0.9233 0.6663
53 P 0.8252 0.2500 0.6440
54 P 0.8597 0.5507 0.8667
55 P 0.8597 0.9493 0.8667
56 P 0.9146 0.7500 0.5971
57 P 0.9248 0.0795 0.5811
58 P 0.9248 0.4205 0.5811
59 P 0.9322 0.5827 0.2901
60 P 0.9322 0.9173 0.2901
61 P 0.9438 0.2500 0.2801
62 P 0.9650 0.7500 0.1565
63 P 0.9706 0.0775 0.1497
64 P 0.9706 0.4225 0.1497

Calculated values
* density: 3.0 Mg/m³
* space group: Pnma, No. 62
* energy of formation: -0.047 eV/atom

2.
A geometry-optimized Zr5Sn3P structure. Source: the Materials Project, functional GGA-PBE.

Cell lengths 8.6372, 8.6372, 5.9777 Å; angles 90.00, 90.00, 120.00 degrees
Element x y z (fractional)
1 Zr 0.0000 0.2487 0.2500
2 Zr 0.0000 0.7513 0.7500
3 Zr 0.2487 0.0000 0.2500
4 Zr 0.2487 0.2487 0.7500
5 Zr 0.3333 0.6667 0.0000
6 Zr 0.3333 0.6667 0.5000
7 Zr 0.6667 0.3333 0.0000
8 Zr 0.6667 0.3333 0.5000
9 Zr 0.7513 0.0000 0.7500
10 Zr 0.7513 0.7513 0.2500
11 Sn 0.0000 0.3995 0.7500
12 Sn 0.0000 0.6005 0.2500
13 Sn 0.3995 0.0000 0.7500
14 Sn 0.3995 0.3995 0.2500
15 Sn 0.6005 0.0000 0.2500
16 Sn 0.6005 0.6005 0.7500
17 P 0.0000 0.0000 0.0000
18 P 0.0000 0.0000 0.5000

Calculated values
* density: 7.3 Mg/m³
* space group: P6_3/mcm, No. 193
* energy of formation: -0.839 eV/atom

3.
A geometry-optimized Sr3P4 structure. Source: the Materials Project, functional GGA-PBE.

Cell lengths 5.8710, 7.7631, 9.2153 Å; angles 83.08, 71.42, 67.78 degrees
Element x y z (fractional)
1 Sr 0.0000 0.0000 0.0000
2 Sr 0.0702 0.5003 0.8388
3 Sr 0.3316 0.9887 0.3374
4 Sr 0.4235 0.4901 0.1625
5 Sr 0.6596 0.0015 0.6628
6 Sr 0.7609 0.4962 0.4975
7 P 0.0209 0.3178 0.1620
8 P 0.0835 0.1799 0.6592
9 P 0.1675 0.6663 0.5009
10 P 0.3262 0.3430 0.5044
11 P 0.4236 0.1531 0.0070
12 P 0.4877 0.6795 0.8516
13 P 0.5804 0.8376 0.9968
14 P 0.9348 0.8091 0.3508

Calculated values
* density: 3.5 Mg/m³
* space group: P1, No. 1
* energy of formation: -0.949 eV/atom